Here is a geometry-optimized Na3VS2O8F2 structure from Materials Project. Energies are from GGA+U.

It has space group Pbcn (No. 60), with a = 9.010 Å, b = 14.190 Å, c = 6.756 Å, α = 90.00°, β = 90.00° and γ = 90.00°. The asymmetric unit holds Na at (0.000, 0.049, 0.250), Na at (0.167, 0.403, 0.018), V at (0.000, 0.198, 0.750), S at (0.194, 0.357, 0.501), O at (0.056, 0.300, 0.553), O at (0.143, 0.436, 0.378), O at (0.208, 0.207, 0.884), O at (0.234, 0.111, 0.184) and F at (0.070, 0.098, 0.576).

As for the corrected total energy (MP2020 scheme): -6.43 eV per atom. The calculation puts the formation energy at -2387.8 meV/atom. The calculation puts the raw total energy at -5.9264 eV/atom.